<A>
VASP calculation (PBE-GGA) on a relaxed structure of BeO2.

Unit cell a=3.7138 b=4.8206 c=6.3055 alpha=90.00 beta=90.00 gamma=90.00
Closest atoms and distances in Å follow each position.
Space group P2_12_12_1 (No. 19)
Unique sites:
Be 0.1530 0.1760 0.3524 (multiplicity 4)  4 O 1.62-1.66
O 0.0213 0.1564 0.6009 (multiplicity 4)  1 O 1.47, 2 Be 1.62-1.64
O 0.1766 0.8652 0.2518 (multiplicity 4)  1 O 1.47, 1 Be 1.63

The magnetic moment is 0.000 μB per atom.

***

<B>
VASP calculation (PBE-GGA) on a relaxed structure of BeO2.

Unit cell a=3.6803 b=5.4617 c=7.6389 alpha=89.94 beta=82.21 gamma=89.85
Closest atoms and distances in Å follow each position.
Space group P1 (No. 1)
Unique sites:
Be 0.0000 0.0000 0.0000 (multiplicity 1)  2 O 1.48
Be 0.0007 0.7222 0.5119 (multiplicity 1)  2 O 1.49
Be 0.0831 0.2223 0.3712 (multiplicity 1)  2 O 1.49
Be 0.0846 0.5001 0.8829 (multiplicity 1)  2 O 1.48
O 0.0385 0.9890 0.4735 (multiplicity 1)  2 Be 1.49
O 0.0445 0.4890 0.4094 (multiplicity 1)  2 Be 1.49
O 0.1291 0.2388 0.9251 (multiplicity 1)  2 Be 1.48
O 0.3099 0.6158 0.6846 (multiplicity 1)  1 O 1.30
O 0.4186 0.1044 0.2109 (multiplicity 1)  1 O 1.30
O 0.6655 0.6038 0.6718 (multiplicity 1)  1 O 1.30
O 0.7753 0.1162 0.1983 (multiplicity 1)  1 O 1.30
O 0.9551 0.7390 0.9581 (multiplicity 1)  2 Be 1.48

The magnetic moment is 0.000 μB per atom.

***

Stability order, top to bottom: <A>, <B>

***

<A>
VASP calculation (PBE-GGA) on a relaxed structure of Ti3H2O7.

Unit cell a=3.7761 b=9.4723 c=16.9411 alpha=98.26 beta=95.90 gamma=90.19
Closest atoms and distances in Å follow each position.
Space group P-1 (No. 2)
Unique sites:
Ti 0.2101 0.3278 0.4005 (multiplicity 2)  5 O 1.85-1.99
Ti 0.2145 0.0202 0.4270 (multiplicity 2)  4 O 1.80-1.98
Ti 0.2301 0.7095 0.4594 (multiplicity 2)  2 O 1.75-1.88
H 0.0128 0.3048 0.2374 (multiplicity 2)  1 O 0.98
H 0.0978 0.4658 0.2749 (multiplicity 2)  1 O 0.98
O 0.1735 0.1413 0.3493 (multiplicity 2)  2 Ti 1.85-1.86
O 0.1898 0.3690 0.2704 (multiplicity 2)  2 H 0.98
O 0.1926 0.8353 0.3825 (multiplicity 2)  2 Ti 1.80-1.88
O 0.2004 0.5386 0.4033 (multiplicity 2)  1 Ti 1.75
O 0.2537 0.2600 0.5060 (multiplicity 2)  3 Ti 1.97-1.99
O 0.2690 0.9530 0.5397 (multiplicity 2)  3 Ti 1.97-2.09
O 0.2840 0.6594 0.5754 (multiplicity 2)  3 Ti 1.91-2.08

The magnetic moment is 0.000 μB per atom.

***

<B>
VASP calculation (PBE-GGA) on a relaxed structure of Ti3H2O7.

Unit cell a=37.6158 b=3.7717 c=10.0287 alpha=90.00 beta=104.83 gamma=90.00
Closest atoms and distances in Å follow each position.
Space group C2/m (No. 12)
Unique sites:
Ti 0.1805 0.0000 0.0223 (multiplicity 4)  1 O 1.62
Ti 0.2083 0.0000 0.3495 (multiplicity 4)  1 O 1.72
Ti 0.2368 0.0000 0.7565 (multiplicity 4)  1 O 1.72
H 0.2183 0.5000 0.9846 (multiplicity 4)  1 O 0.99
H 0.2350 0.0000 0.5583 (multiplicity 4)  1 O 1.03
O 0.1392 0.0000 0.9210 (multiplicity 4)  1 Ti 1.62
O 0.1712 0.0000 0.2078 (multiplicity 4)  1 Ti 1.72
O 0.2073 0.5000 0.0641 (multiplicity 4)  1 H 0.99
O 0.2078 0.0000 0.5577 (multiplicity 4)  1 H 1.03
O 0.2104 0.0000 0.8740 (multiplicity 4)  1 Ti 1.72
O 0.2222 0.5000 0.3730 (multiplicity 4)  1 H 1.58
O 0.2487 0.0000 0.2512 (multiplicity 4)  3 Ti 1.97-2.01

The magnetic moment is 0.003 μB per atom.

***

Stability order, top to bottom: <A>, <B>

***

<A>
VASP calculation (PBE-GGA) on a relaxed structure of LiAg2F4.

Unit cell a=9.9500 b=7.2793 c=5.5899 alpha=90.00 beta=90.00 gamma=90.00
Closest atoms and distances in Å follow each position.
Space group Pnma (No. 62)
Unique sites:
Li 0.1763 0.2500 0.0165 (multiplicity 4)  4 F 1.88-1.92
Ag 0.0000 0.0000 0.5000 (multiplicity 4)  4 F 2.12-2.32
Ag 0.1494 0.7500 0.0178 (multiplicity 4)  4 F 2.32-2.39
F 0.1083 0.0392 0.1775 (multiplicity 8)  1 Li 1.90, 1 Ag 2.12
F 0.1306 0.2500 0.6906 (multiplicity 4)  1 Li 1.88
F 0.1357 0.7500 0.5921 (multiplicity 4)  1 Li 1.92

The magnetic moment is 0.143 μB per atom.

***

<B>
VASP calculation (PBE-GGA) on a relaxed structure of LiAg2F4.

Unit cell a=11.4043 b=11.5462 c=6.1735 alpha=90.00 beta=90.00 gamma=90.00
Closest atoms and distances in Å follow each position.
Space group Ccce (No. 68, origin choice 2)
Unique sites:
Li 0.2500 0.0000 0.0292 (multiplicity 8)  4 F 1.93-1.99
Ag 0.0000 0.0949 0.2500 (multiplicity 8)  4 F 2.15-2.23
Ag 0.1692 0.2500 0.7500 (multiplicity 8)  6 F 2.33-2.56
F 0.1024 0.0914 0.5420 (multiplicity 16)  1 Li 1.99, 1 Ag 2.15
F 0.1617 0.1410 0.0672 (multiplicity 16)  1 Li 1.93

The magnetic moment is 0.099 μB per atom.

***

Stability order, top to bottom: <A>, <B>

***

<A>
VASP calculation (PBE-GGA) on a relaxed structure of Er2MgSe4.

Unit cell a=8.5656 b=8.5656 c=8.8526 alpha=90.00 beta=90.00 gamma=90.00
Closest atoms and distances in Å follow each position.
Space group I-42d (No. 122)
Unique sites:
Er 0.1315 0.2500 0.1250 (multiplicity 8)  6 Se 2.80-3.13
Mg 0.0000 0.0000 0.5000 (multiplicity 4)  4 Se 2.73
Se 0.0649 0.1945 0.8140 (multiplicity 16)  1 Mg 2.73, 2 Er 2.80-2.85

The magnetic moment is 0.000 μB per atom.

***

<B>
VASP calculation (PBE-GGA) on a relaxed structure of Er2MgSe4.

Unit cell a=14.0585 b=8.1721 c=6.8074 alpha=90.00 beta=90.00 gamma=90.00
Closest atoms and distances in Å follow each position.
Space group Pnma (No. 62)
Unique sites:
Er 0.0000 0.0000 0.0000 (multiplicity 4)  6 Se 2.81-2.88
Er 0.2358 0.2500 0.4948 (multiplicity 4)  6 Se 2.82-2.91
Mg 0.0920 0.7500 0.5829 (multiplicity 4)  4 Se 2.53-2.61
Se 0.0743 0.2500 0.2479 (multiplicity 4)  1 Mg 2.61, 3 Er 2.82-2.85
Se 0.0916 0.7500 0.2113 (multiplicity 4)  1 Mg 2.53, 2 Er 2.81
Se 0.1694 0.5036 0.7618 (multiplicity 8)  1 Mg 2.59, 2 Er 2.88-2.89

The magnetic moment is 0.000 μB per atom.

***

<C>
VASP calculation (PBE-GGA) on a relaxed structure of Er2MgSe4.

Unit cell a=13.1670 b=7.8540 c=13.4052 alpha=90.00 beta=90.00 gamma=90.00
Closest atoms and distances in Å follow each position.
Space group Pca2_1 (No. 29)
Unique sites:
Er 0.1079 0.1165 0.0000 (multiplicity 4)  6 Se 2.80-2.87
Er 0.1271 0.6179 0.6400 (multiplicity 4)  6 Se 2.79-2.90
Er 0.1336 0.3700 0.3044 (multiplicity 4)  7 Se 2.84-3.13
Er 0.1336 0.8702 0.3048 (multiplicity 4)  7 Se 2.83-3.15
Mg 0.1113 0.6175 0.0036 (multiplicity 4)  6 Se 2.66-2.96
Mg 0.1263 0.1215 0.6344 (multiplicity 4)  6 Se 2.70-2.87
Se 0.0133 0.1226 0.1915 (multiplicity 4)  1 Mg 2.76, 4 Er 2.84-2.96
Se 0.0225 0.6249 0.1836 (multiplicity 4)  2 Mg 2.68-2.87, 3 Er 2.80-2.96
Se 0.0333 0.6226 0.4443 (multiplicity 4)  1 Mg 2.80, 4 Er 2.87-3.03
Se 0.0434 0.1249 0.4495 (multiplicity 4)  2 Mg 2.71-2.96, 3 Er 2.83-3.03
Se 0.2114 0.1193 0.8172 (multiplicity 4)  1 Mg 2.70, 3 Er 2.80-2.84
Se 0.2129 0.6195 0.8317 (multiplicity 4)  1 Mg 2.66, 3 Er 2.81-2.84
Se 0.2314 0.8690 0.0901 (multiplicity 4)  2 Mg 2.78-2.79, 2 Er 2.79-2.81
Se 0.2322 0.3659 0.0916 (multiplicity 4)  2 Mg 2.74-2.80, 2 Er 2.79-2.83

The magnetic moment is 0.000 μB per atom.

***

Stability order, top to bottom: <B>, <C>, <A>

***

<A>
VASP calculation (PBE-GGA) on a relaxed structure of MgTi2O4.

Unit cell a=5.8904 b=6.1119 c=8.6455 alpha=90.00 beta=90.00 gamma=90.00
Closest atoms and distances in Å follow each position.
Space group Imma (No. 74)
Unique sites:
Mg 0.0000 0.0000 0.0000 (multiplicity 4)  6 O 2.09-2.14
Ti 0.0000 0.2500 0.3791 (multiplicity 4)  4 O 1.90-1.92
Ti 0.2500 0.2500 0.7500 (multiplicity 4)  6 O 2.07-2.11
O 0.0000 0.0025 0.7526 (multiplicity 8)  3 Ti 1.92-2.11, 1 Mg 2.14
O 0.2412 0.2500 0.9895 (multiplicity 8)  2 Ti 1.90-2.07, 2 Mg 2.09

The magnetic moment is 0.196 μB per atom.

***

<B>
VASP calculation (PBE-GGA) on a relaxed structure of MgTi2O4.

Unit cell a=4.1149 b=4.1149 c=8.4646 alpha=90.00 beta=90.00 gamma=90.00
Closest atoms and distances in Å follow each position.
Space group I-4m2 (No. 119)
Unique sites:
Mg 0.0000 0.0000 0.0000 (multiplicity 2)  6 O 2.06-2.11
Ti 0.0000 0.0000 0.5000 (multiplicity 2)  6 O 2.06-2.12
Ti 0.0000 0.5000 0.7500 (multiplicity 2)  6 O 2.06-2.07
O 0.0000 0.0000 0.2496 (multiplicity 4)  3 Ti 2.06-2.12, 1 Mg 2.11
O 0.0000 0.5000 0.5049 (multiplicity 4)  2 Mg 2.06, 3 Ti 2.06-2.07

The magnetic moment is 0.000 μB per atom.

***

<C>
VASP calculation (PBE-GGA) on a relaxed structure of MgTi2O4.

Unit cell a=10.7035 b=5.9240 c=20.0152 alpha=90.00 beta=101.44 gamma=90.00
Closest atoms and distances in Å follow each position.
Space group Cm (No. 8)
Unique sites:
Mg 0.0000 0.0000 0.0000 (multiplicity 2)  6 O 2.07-2.14
Mg 0.0065 0.5000 0.4981 (multiplicity 2)  6 O 2.09-2.15
Mg 0.0430 0.5000 0.0926 (multiplicity 2)  4 O 1.99-2.01
Mg 0.1270 0.5000 0.3704 (multiplicity 2)  6 O 2.09-2.19
Mg 0.2487 0.5000 0.2483 (multiplicity 2)  6 O 2.05-2.17
Mg 0.2601 0.0000 0.7493 (multiplicity 2)  6 O 2.07-2.17
Mg 0.2888 0.5000 0.8435 (multiplicity 2)  4 O 1.95-1.96
Mg 0.3841 0.0000 0.6248 (multiplicity 2)  6 O 2.10-2.15
Ti 0.0022 0.2287 0.2430 (multiplicity 4)  6 O 2.05-2.23
Ti 0.0138 0.2298 0.7528 (multiplicity 4)  5 O 1.97-2.15
Ti 0.0369 0.0000 0.5893 (multiplicity 2)  4 O 1.90-1.93
Ti 0.1363 0.0000 0.8757 (multiplicity 2)  6 O 2.07-2.15
Ti 0.2268 0.5000 0.6589 (multiplicity 2)  4 O 1.89-1.91
Ti 0.2324 0.0000 0.1507 (multiplicity 2)  4 O 1.86-1.89
Ti 0.2573 0.2435 0.9961 (multiplicity 4)  6 O 2.03-2.13
Ti 0.2570 0.2570 0.4982 (multiplicity 4)  6 O 2.06-2.15
Ti 0.2883 0.0000 0.3389 (multiplicity 2)  4 O 1.87-1.91
Ti 0.3877 0.5000 0.1264 (multiplicity 2)  6 O 2.05-2.13
Ti 0.4776 0.5000 0.4061 (multiplicity 2)  4 O 1.90-1.92
Ti 0.4807 0.0000 0.9022 (multiplicity 2)  4 O 1.88-1.89
O 0.0645 0.5000 0.1941 (multiplicity 2)  2 Mg 2.00-2.05, 2 Ti 2.06
O 0.0674 0.5000 0.6881 (multiplicity 2)  1 Ti 1.91, 1 Mg 2.11
O 0.0697 0.0000 0.6871 (multiplicity 2)  3 Ti 1.92-2.06
O 0.0731 0.2406 0.9378 (multiplicity 4)  3 Ti 1.89-2.09
O 0.0765 0.2589 0.4382 (multiplicity 4)  2 Ti 1.90-2.06, 2 Mg 2.10-2.11
O 0.0784 0.0000 0.1808 (multiplicity 2)  1 Ti 1.86
O 0.1868 0.2345 0.8090 (multiplicity 4)  2 Mg 1.96-2.08, 2 Ti 1.97-2.07
O 0.1878 0.2535 0.3091 (multiplicity 4)  1 Ti 1.87, 2 Mg 2.09
O 0.1896 0.0000 0.0546 (multiplicity 2)  3 Ti 1.89-2.08, 1 Mg 2.10
O 0.1944 0.5000 0.5613 (multiplicity 2)  3 Ti 1.91-2.11
O 0.1981 0.0000 0.5598 (multiplicity 2)  3 Ti 1.93-2.13, 1 Mg 2.15
O 0.2076 0.5000 0.0585 (multiplicity 2)  1 Mg 2.01, 3 Ti 2.10-2.13
O 0.3160 0.5000 0.9429 (multiplicity 2)  2 Mg 1.95-2.07, 2 Ti 2.03
O 0.3175 0.5000 0.4358 (multiplicity 2)  3 Ti 1.92-2.09
O 0.3199 0.0000 0.4363 (multiplicity 2)  1 Ti 1.91, 1 Mg 2.13
O 0.3197 0.2620 0.1872 (multiplicity 4)  3 Ti 1.88-2.09, 1 Mg 2.10
O 0.3275 0.0000 0.9342 (multiplicity 2)  1 Ti 1.88
O 0.3276 0.2441 0.6887 (multiplicity 4)  1 Ti 1.89, 2 Mg 2.10-2.11
O 0.4311 0.2623 0.0601 (multiplicity 4)  2 Mg 1.99-2.08, 2 Ti 2.04-2.05
O 0.4378 0.2402 0.5581 (multiplicity 4)  2 Ti 1.90-2.07, 2 Mg 2.09-2.11
O 0.4412 0.5000 0.3083 (multiplicity 2)  3 Ti 1.92-2.08
O 0.4441 0.0000 0.3076 (multiplicity 2)  1 Ti 1.89, 1 Mg 2.11
O 0.4445 0.0000 0.8057 (multiplicity 2)  1 Ti 1.89, 1 Mg 2.07
O 0.4503 0.5000 0.8128 (multiplicity 2)  1 Mg 1.95, 3 Ti 2.02-2.13

The magnetic moment is 0.034 μB per atom.

***

Stability order, top to bottom: <C>, <A>, <B>